Record 1
# Sm2Zn17

Sm2Zn17 after structural relaxation (GGA-PBE, the Materials Project).

Structure (CIF):
```
data_Sm2Zn17
_space_group_name_H-M_alt 'R -3 m'
_space_group_IT_number 166
_space_group_name_Hall '-R 3 2"'
_cell_length_a 9.0215
_cell_length_b 9.0215
_cell_length_c 13.2737
_cell_angle_alpha 90.00
_cell_angle_beta 90.00
_cell_angle_gamma 120.00
loop_
_atom_site_label
_atom_site_type_symbol
_atom_site_fract_x
_atom_site_fract_y
_atom_site_fract_z
Sm1 Sm 0.0000 0.0000 0.1647
Zn1 Zn 0.0000 0.0000 0.4008
Zn2 Zn 0.0000 0.2948 0.5000
Zn3 Zn 0.0000 0.5000 0.0000
Zn4 Zn 0.0082 0.5041 0.6533
```

Computed properties:
- formation energy (eV per atom) = -0.263

---

Record 2
# SmZn12

SmZn12 after structural relaxation (GGA-PBE, the Materials Project).

Structure (CIF):
```
data_SmZn12
_space_group_name_H-M_alt 'I 4/m m m'
_space_group_IT_number 139
_space_group_name_Hall '-I 4 2'
_cell_length_a 8.954
_cell_length_b 8.954
_cell_length_c 5.202
_cell_angle_alpha 90.00
_cell_angle_beta 90.00
_cell_angle_gamma 90.00
loop_
_atom_site_label
_atom_site_type_symbol
_atom_site_fract_x
_atom_site_fract_y
_atom_site_fract_z
Sm1 Sm 0.000 0.000 0.000
Zn1 Zn 0.000 0.218 0.500
Zn2 Zn 0.000 0.355 0.000
Zn3 Zn 0.250 0.250 0.250
```

Computed properties:
- formation energy (eV per atom) = -0.193

---

Record 3
# SmZn3

SmZn3 after structural relaxation (GGA-PBE, the Materials Project).

Structure (CIF):
```
data_SmZn3
_space_group_name_H-M_alt 'P n m a'
_space_group_IT_number 62
_cell_length_a 6.728
_cell_length_b 4.485
_cell_length_c 10.256
_cell_angle_alpha 90.00
_cell_angle_beta 90.00
_cell_angle_gamma 90.00
loop_
_space_group_symop_operation_xyz
'x,y,z'
'-x,-y,-z'
'-x+1/2,-y,z+1/2'
'x+1/2,y,-z+1/2'
'x+1/2,-y+1/2,-z+1/2'
'-x+1/2,y+1/2,z+1/2'
'-x,y+1/2,-z'
'x,-y+1/2,z'
loop_
_atom_site_label
_atom_site_type_symbol
_atom_site_fract_x
_atom_site_fract_y
_atom_site_fract_z
Sm1 Sm 0.221 0.250 0.162
Zn1 Zn 0.036 0.750 0.396
Zn2 Zn 0.083 0.250 0.852
Zn3 Zn 0.217 0.750 0.957
```

Computed properties:
- formation energy (eV per atom) = -0.358

---

Record 4
# SmZn

SmZn after structural relaxation (GGA-PBE, the Materials Project).

Structure (CIF):
```
data_SmZn
_space_group_name_H-M_alt 'P m -3 m'
_space_group_IT_number 221
_space_group_name_Hall '-P 4 2 3'
_cell_length_a 3.638
_cell_length_b 3.638
_cell_length_c 3.638
_cell_angle_alpha 90.00
_cell_angle_beta 90.00
_cell_angle_gamma 90.00
loop_
_atom_site_label
_atom_site_type_symbol
_atom_site_fract_x
_atom_site_fract_y
_atom_site_fract_z
Sm1 Sm 0.000 0.000 0.000
Zn1 Zn 0.500 0.500 0.500
```

Computed properties:
- formation energy (eV per atom) = -0.330

---

Record 5
# Sm3Zn22

Sm3Zn22 after structural relaxation (GGA-PBE, the Materials Project).

Structure (CIF):
```
data_Sm3Zn22
_space_group_name_H-M_alt 'I 41/a m d'
_space_group_IT_number 141
_cell_length_a 8.902
_cell_length_b 8.902
_cell_length_c 21.118
_cell_angle_alpha 90.00
_cell_angle_beta 90.00
_cell_angle_gamma 90.00
loop_
_space_group_symop_operation_xyz
'x,y,z'
'-x,-y,-z'
'-y+1/4,x+3/4,z+1/4'
'y+1/4,-x+3/4,-z+1/4'
'-x+1/2,-y,z+1/2'
'x+1/2,y,-z+1/2'
'y+1/4,-x+1/4,z+3/4'
'-y+1/4,x+1/4,-z+3/4'
'x,-y,-z'
'-x,y,z'
'-y+1/4,-x+1/4,-z+3/4'
'y+1/4,x+1/4,z+3/4'
'-x+1/2,y,-z+1/2'
'x+1/2,-y,z+1/2'
'y+1/4,x+3/4,-z+1/4'
'-y+1/4,-x+3/4,z+1/4'
'x+1/2,y+1/2,z+1/2'
'-x+1/2,-y+1/2,-z+1/2'
'-y+3/4,x+1/4,z+3/4'
'y+3/4,-x+1/4,-z+3/4'
'-x,-y+1/2,z'
'x,y+1/2,-z'
'y+3/4,-x+3/4,z+1/4'
'-y+3/4,x+3/4,-z+1/4'
'x+1/2,-y+1/2,-z+1/2'
'-x+1/2,y+1/2,z+1/2'
'-y+3/4,-x+3/4,-z+1/4'
'y+3/4,x+3/4,z+1/4'
'-x,y+1/2,-z'
'x,-y+1/2,z'
'y+3/4,x+1/4,-z+3/4'
'-y+3/4,-x+1/4,z+3/4'
loop_
_atom_site_label
_atom_site_type_symbol
_atom_site_fract_x
_atom_site_fract_y
_atom_site_fract_z
Sm1 Sm 0.000 0.250 0.256
Sm2 Sm 0.000 0.250 0.875
Zn1 Zn 0.000 0.000 0.000
Zn2 Zn 0.000 0.025 0.376
Zn3 Zn 0.000 0.098 0.739
Zn4 Zn 0.000 0.101 0.119
Zn5 Zn 0.234 0.008 0.189
```

Computed properties:
- formation energy (eV per atom) = -0.278

---

Record 6
# SmZn5

SmZn5 after structural relaxation (GGA-PBE, the Materials Project).

Structure (CIF):
```
data_SmZn5
_space_group_name_H-M_alt 'P 6/m m m'
_space_group_IT_number 191
_space_group_name_Hall '-P 6 2'
_cell_length_a 5.3491
_cell_length_b 5.3491
_cell_length_c 4.2618
_cell_angle_alpha 90.00
_cell_angle_beta 90.00
_cell_angle_gamma 120.00
loop_
_atom_site_label
_atom_site_type_symbol
_atom_site_fract_x
_atom_site_fract_y
_atom_site_fract_z
Sm1 Sm 0.0000 0.0000 0.0000
Zn1 Zn 0.0000 0.5000 0.5000
Zn2 Zn 0.3333 0.6667 0.0000
```

Computed properties:
- formation energy (eV per atom) = -0.302

---

Record 7
# Sm3Zr

Sm3Zr after structural relaxation (GGA-PBE, the Materials Project).

Structure (CIF):
```
data_Sm3Zr
_space_group_name_H-M_alt 'I 4/m m m'
_space_group_IT_number 139
_space_group_name_Hall '-I 4 2'
_cell_length_a 4.969
_cell_length_b 4.969
_cell_length_c 9.868
_cell_angle_alpha 90.00
_cell_angle_beta 90.00
_cell_angle_gamma 90.00
loop_
_atom_site_label
_atom_site_type_symbol
_atom_site_fract_x
_atom_site_fract_y
_atom_site_fract_z
Sm1 Sm 0.000 0.000 0.000
Sm2 Sm 0.000 0.500 0.250
Zr1 Zr 0.000 0.000 0.500
```

Computed properties:
- formation energy (eV per atom) = 0.130

---

Record 8
# SrSn

SrSn after structural relaxation (GGA-PBE, the Materials Project).

Structure (CIF):
```
data_SrSn
_space_group_name_H-M_alt 'C m c m'
_space_group_IT_number 63
_space_group_name_Hall '-C 2c 2'
_cell_length_a 5.093
_cell_length_b 12.232
_cell_length_c 4.537
_cell_angle_alpha 90.00
_cell_angle_beta 90.00
_cell_angle_gamma 90.00
loop_
_atom_site_label
_atom_site_type_symbol
_atom_site_fract_x
_atom_site_fract_y
_atom_site_fract_z
Sr1 Sr 0.000 0.136 0.250
Sn1 Sn 0.000 0.420 0.250
```

Computed properties:
- formation energy (eV per atom) = -0.676

---

Record 9
# Sr2Sn

Sr2Sn after structural relaxation (GGA-PBE, the Materials Project).

Structure (CIF):
```
data_Sr2Sn
_space_group_name_H-M_alt 'P n m a'
_space_group_IT_number 62
_cell_length_a 8.397
_cell_length_b 5.426
_cell_length_c 10.174
_cell_angle_alpha 90.00
_cell_angle_beta 90.00
_cell_angle_gamma 90.00
loop_
_space_group_symop_operation_xyz
'x,y,z'
'-x,-y,-z'
'-x+1/2,-y,z+1/2'
'x+1/2,y,-z+1/2'
'x+1/2,-y+1/2,-z+1/2'
'-x+1/2,y+1/2,z+1/2'
'-x,y+1/2,-z'
'x,-y+1/2,z'
loop_
_atom_site_label
_atom_site_type_symbol
_atom_site_fract_x
_atom_site_fract_y
_atom_site_fract_z
Sr1 Sr 0.020 0.250 0.182
Sr2 Sr 0.158 0.250 0.574
Sn1 Sn 0.249 0.250 0.894
```

Computed properties:
- formation energy (eV per atom) = -0.619

---

Record 10
# SrZn2Sn2

SrZn2Sn2 after structural relaxation (GGA-PBE, the Materials Project).

Structure (CIF):
```
data_SrZn2Sn2
_space_group_name_H-M_alt 'P 1 21/m 1'
_space_group_IT_number 11
_cell_length_a 4.675
_cell_length_b 4.661
_cell_length_c 11.514
_cell_angle_alpha 90.00
_cell_angle_beta 90.66
_cell_angle_gamma 90.00
loop_
_space_group_symop_operation_xyz
'x,y,z'
'-x,-y,-z'
'-x,y+1/2,-z'
'x,-y+1/2,z'
loop_
_atom_site_label
_atom_site_type_symbol
_atom_site_fract_x
_atom_site_fract_y
_atom_site_fract_z
Sr1 Sr 0.242 0.250 0.245
Zn1 Zn 0.230 0.750 0.001
Zn2 Zn 0.244 0.250 0.639
Sn1 Sn 0.257 0.750 0.500
Sn2 Sn 0.274 0.250 0.869
```

Computed properties:
- formation energy (eV per atom) = -0.359

---

Record 11
# SrZnSn

SrZnSn after structural relaxation (GGA-PBE, the Materials Project).

Structure (CIF):
```
data_SrZnSn
_space_group_name_H-M_alt 'P 63/m m c'
_space_group_IT_number 194
_space_group_name_Hall '-P 6c 2c'
_cell_length_a 4.6705
_cell_length_b 4.6705
_cell_length_c 9.1097
_cell_angle_alpha 90.00
_cell_angle_beta 90.00
_cell_angle_gamma 120.00
loop_
_atom_site_label
_atom_site_type_symbol
_atom_site_fract_x
_atom_site_fract_y
_atom_site_fract_z
Sr1 Sr 0.0000 0.0000 0.0000
Zn1 Zn 0.3333 0.6667 0.2500
Sn1 Sn 0.3333 0.6667 0.7500
```

Computed properties:
- formation energy (eV per atom) = -0.519

---

Record 12
# Ta2Sn3

Ta2Sn3 after structural relaxation (GGA-PBE, the Materials Project).

Structure (CIF):
```
data_Ta2Sn3
_space_group_name_H-M_alt 'F 2 2 2'
_space_group_IT_number 22
_space_group_name_Hall 'F 2 2'
_cell_length_a 5.710
_cell_length_b 9.936
_cell_length_c 17.805
_cell_angle_alpha 90.00
_cell_angle_beta 90.00
_cell_angle_gamma 90.00
loop_
_atom_site_label
_atom_site_type_symbol
_atom_site_fract_x
_atom_site_fract_y
_atom_site_fract_z
Ta1 Ta 0.000 0.000 0.122
Ta2 Ta 0.250 0.250 0.108
Sn1 Sn 0.000 0.000 0.419
Sn2 Sn 0.250 0.090 0.250
Sn3 Sn 0.250 0.250 0.626
```

Computed properties:
- size of the total moment (Bohr magnetons per cell) = 0.04
- formation energy (eV per atom) = 0.419

---

Record 13
# Ta3Sn

Ta3Sn after structural relaxation (GGA-PBE, the Materials Project).

Structure (CIF):
```
data_Ta3Sn
_space_group_name_H-M_alt 'P m -3 n'
_space_group_IT_number 223
_space_group_name_Hall '-P 4n 2 3'
_cell_length_a 5.325
_cell_length_b 5.325
_cell_length_c 5.325
_cell_angle_alpha 90.00
_cell_angle_beta 90.00
_cell_angle_gamma 90.00
loop_
_atom_site_label
_atom_site_type_symbol
_atom_site_fract_x
_atom_site_fract_y
_atom_site_fract_z
Ta1 Ta 0.000 0.250 0.500
Sn1 Sn 0.000 0.000 0.000
```

Computed properties:
- formation energy (eV per atom) = -0.032

---

Record 14
# Tb5Sn3

Tb5Sn3 after structural relaxation (GGA-PBE, the Materials Project).

Structure (CIF):
```
data_Tb5Sn3
_space_group_name_H-M_alt 'P 63/m c m'
_space_group_IT_number 193
_space_group_name_Hall '-P 6c 2'
_cell_length_a 9.0146
_cell_length_b 9.0146
_cell_length_c 6.6109
_cell_angle_alpha 90.00
_cell_angle_beta 90.00
_cell_angle_gamma 120.00
loop_
_atom_site_label
_atom_site_type_symbol
_atom_site_fract_x
_atom_site_fract_y
_atom_site_fract_z
Tb1 Tb 0.0000 0.2411 0.2500
Tb2 Tb 0.3333 0.6667 0.0000
Sn1 Sn 0.0000 0.3938 0.7500
```

Computed properties:
- formation energy (eV per atom) = -0.722

---

Record 15
# Tb5Sn4

Tb5Sn4 after structural relaxation (GGA-PBE, the Materials Project).

Structure (CIF):
```
data_Tb5Sn4
_space_group_name_H-M_alt 'P n m a'
_space_group_IT_number 62
_cell_length_a 8.082
_cell_length_b 15.582
_cell_length_c 8.196
_cell_angle_alpha 90.00
_cell_angle_beta 90.00
_cell_angle_gamma 90.00
loop_
_space_group_symop_operation_xyz
'x,y,z'
'-x,-y,-z'
'-x+1/2,-y,z+1/2'
'x+1/2,y,-z+1/2'
'x+1/2,-y+1/2,-z+1/2'
'-x+1/2,y+1/2,z+1/2'
'-x,y+1/2,-z'
'x,-y+1/2,z'
loop_
_atom_site_label
_atom_site_type_symbol
_atom_site_fract_x
_atom_site_fract_y
_atom_site_fract_z
Tb1 Tb 0.020 0.098 0.181
Tb2 Tb 0.132 0.621 0.335
Tb3 Tb 0.197 0.250 0.502
Sn1 Sn 0.065 0.250 0.881
Sn2 Sn 0.173 0.750 0.644
Sn3 Sn 0.209 0.042 0.533
```

Computed properties:
- formation energy (eV per atom) = -0.745

---

Record 16
# TbSn2

TbSn2 after structural relaxation (GGA-PBE, the Materials Project).

Structure (CIF):
```
data_TbSn2
_space_group_name_H-M_alt 'C m c m'
_space_group_IT_number 63
_space_group_name_Hall '-C 2c 2'
_cell_length_a 4.446
_cell_length_b 16.397
_cell_length_c 4.372
_cell_angle_alpha 90.00
_cell_angle_beta 90.00
_cell_angle_gamma 90.00
loop_
_atom_site_label
_atom_site_type_symbol
_atom_site_fract_x
_atom_site_fract_y
_atom_site_fract_z
Tb1 Tb 0.000 0.099 0.250
Sn1 Sn 0.000 0.251 0.750
Sn2 Sn 0.000 0.437 0.250
```

Computed properties:
- formation energy (eV per atom) = -0.605

---

Record 17
# UTc2Sn

UTc2Sn after structural relaxation (GGA-PBE, the Materials Project).

Structure (CIF):
```
data_UTc2Sn
_space_group_name_H-M_alt 'F m -3 m'
_space_group_IT_number 225
_space_group_name_Hall '-F 4 2 3'
_cell_length_a 6.656
_cell_length_b 6.656
_cell_length_c 6.656
_cell_angle_alpha 90.00
_cell_angle_beta 90.00
_cell_angle_gamma 90.00
loop_
_atom_site_label
_atom_site_type_symbol
_atom_site_fract_x
_atom_site_fract_y
_atom_site_fract_z
U1 U 0.000 0.000 0.000
Tc1 Tc 0.250 0.250 0.250
Sn1 Sn 0.000 0.000 0.500
```

Computed properties:
- formation energy (eV per atom) = -0.079

---

Record 18
# SnTe3

SnTe3 after structural relaxation (GGA-PBE, the Materials Project).

Structure (CIF):
```
data_SnTe3
_space_group_name_H-M_alt 'F m -3 m'
_space_group_IT_number 225
_space_group_name_Hall '-F 4 2 3'
_cell_length_a 7.722
_cell_length_b 7.722
_cell_length_c 7.722
_cell_angle_alpha 90.00
_cell_angle_beta 90.00
_cell_angle_gamma 90.00
loop_
_atom_site_label
_atom_site_type_symbol
_atom_site_fract_x
_atom_site_fract_y
_atom_site_fract_z
Sn1 Sn 0.000 0.000 0.000
Te1 Te 0.000 0.000 0.500
Te2 Te 0.250 0.250 0.250
```

Computed properties:
- size of the total moment (Bohr magnetons per cell) = 0.01
- formation energy (eV per atom) = -0.135

---

Record 19
# Tl4SnTe3

Tl4SnTe3 after structural relaxation (GGA-PBE, the Materials Project).

Structure (CIF):
```
data_Tl4SnTe3
_space_group_name_H-M_alt 'I 4/m c m'
_space_group_IT_number 140
_space_group_name_Hall '-I 4 2c'
_cell_length_a 8.941
_cell_length_b 8.941
_cell_length_c 13.364
_cell_angle_alpha 90.00
_cell_angle_beta 90.00
_cell_angle_gamma 90.00
loop_
_atom_site_label
_atom_site_type_symbol
_atom_site_fract_x
_atom_site_fract_y
_atom_site_fract_z
Tl1 Tl 0.146 0.354 0.158
Sn1 Sn 0.000 0.000 0.000
Te1 Te 0.000 0.000 0.250
Te2 Te 0.166 0.334 0.500
```

Computed properties:
- size of the total moment (Bohr magnetons per cell) = 0.08
- formation energy (eV per atom) = -0.449

---

Record 20
# Tl9SnTe6

Tl9SnTe6 after structural relaxation (GGA-PBE, the Materials Project).

Structure (CIF):
```
data_Tl9SnTe6
_space_group_name_H-M_alt 'I 4/m'
_space_group_IT_number 87
_space_group_name_Hall '-I 4'
_cell_length_a 9.022
_cell_length_b 9.022
_cell_length_c 13.262
_cell_angle_alpha 90.00
_cell_angle_beta 90.00
_cell_angle_gamma 90.00
loop_
_atom_site_label
_atom_site_type_symbol
_atom_site_fract_x
_atom_site_fract_y
_atom_site_fract_z
Tl1 Tl 0.000 0.000 0.000
Tl2 Tl 0.147 0.352 0.344
Sn1 Sn 0.000 0.000 0.500
Te1 Te 0.000 0.000 0.260
Te2 Te 0.149 0.671 0.500
```

Computed properties:
- formation energy (eV per atom) = -0.456